[1]
Below is an optimized crystal structure of Na6V2C4SO16, with properties calculated at the PBE with a Hubbard U level.

Cell: 14.154 14.154 14.154 Å, 90.00 90.00 90.00°
Space group Fd-3 (No. 203, origin choice 2)
Asymmetric unit:
Na: 0.091 0.375 0.375 x48
V: 0.000 0.000 0.500 x16
C: 0.031 0.031 0.719 x32
S: 0.125 0.125 0.125 x8
O: 0.019 0.100 0.779 x96
O: 0.064 0.064 0.064 x32

Summary:
The calculation puts the magnetic moment at 48.005 μB/cell. The calculation puts the raw total energy at -1546.4 eV for the cell shown. Its energy of formation is -2116.3 meV per atom.

---

[2]
Below is an optimized crystal structure of MgU2Cr2O16, with properties calculated at the PBE with a Hubbard U level.

Cell: 10.711 15.563 8.261 Å, 90.00 90.00 90.00°
Space group Pnma (No. 62)
Asymmetric unit:
Mg: 0.192 0.250 0.050 x4
U: 0.181 0.501 0.986 x8
Cr: 0.043 0.050 0.644 x8
O: 0.006 0.250 0.986 x4
O: 0.008 0.520 0.156 x8
O: 0.021 0.150 0.620 x8
O: 0.101 0.004 0.446 x8
O: 0.124 0.750 0.620 x4
O: 0.156 0.250 0.296 x4
O: 0.175 0.614 0.935 x8
O: 0.186 0.115 0.041 x8
O: 0.204 0.035 0.713 x8
O: 0.246 0.250 0.810 x4

Summary:
The calculation puts the magnetic moment at 32.908 μB/cell. The calculation puts the raw total energy at -589.0 eV for the cell shown. Its energy of formation is -1884.9 meV per atom.

---

[3]
Below is an optimized crystal structure of Li3Ti2Co3O10, with properties calculated at the PBE with a Hubbard U level.

Cell: 5.026 5.237 7.712 Å, 73.88 74.70 81.17°
Space group P-1 (No. 2)
Asymmetric unit:
Li: 0.000 0.000 0.000 x1
Li: 0.488 0.725 0.102 x2
Ti: 0.027 0.375 0.188 x2
Co: 0.015 0.190 0.607 x2
Co: 0.500 0.500 0.500 x1
O: 0.203 0.820 0.565 x2
O: 0.216 0.620 0.972 x2
O: 0.217 0.054 0.159 x2
O: 0.244 0.474 0.349 x2
O: 0.245 0.295 0.725 x2

Summary:
The calculation puts the magnetic moment at 5.197 μB/cell. The calculation puts the raw total energy at -119.8 eV for the cell shown. Its energy of formation is -2181.8 meV per atom.

---

[4]
Below is an optimized crystal structure of BaNa2V2CuO8, with properties calculated at the PBE with a Hubbard U level.

Cell: 9.500 5.853 14.191 Å, 90.00 93.51 90.00°
Space group C2/c (No. 15)
Asymmetric unit:
Ba: 0.000 0.128 0.250 x4
Na: 0.159 0.420 0.589 x8
V: 0.180 0.410 0.872 x8
Cu: 0.000 0.000 0.000 x4
O: 0.057 0.185 0.893 x8
O: 0.130 0.339 0.423 x8
O: 0.147 0.153 0.084 x8
O: 0.183 0.461 0.753 x8

Summary:
The calculation puts the magnetic moment at 4.003 μB/cell. The calculation puts the raw total energy at -361.2 eV for the cell shown. Its energy of formation is -2342.1 meV per atom.

---

It is found that the MP2020-corrected energy values, taken in the order of the records, are -7.1618; -7.7257; -7.3109; -7.0860 eV per atom.